1.
VASP calculation (GGA+U) on LiFeP2O7 after structural relaxation.

Cell: 6.319 6.319 13.416 Å, 74.11 74.11 80.49°
Fractional coordinates of all 44 atoms:
Li1 0.765 0.011 0.881
Li2 0.021 0.769 0.378
Li3 0.231 0.979 0.622
Li4 0.989 0.235 0.119
Fe1 0.600 0.125 0.392
Fe2 0.875 0.400 0.608
Fe3 0.403 0.876 0.107
Fe4 0.124 0.597 0.893
P1 0.247 0.095 0.885
P2 0.334 0.421 0.675
P3 0.579 0.666 0.325
P4 0.097 0.248 0.386
P5 0.669 0.581 0.823
P6 0.905 0.753 0.115
P7 0.752 0.903 0.614
P8 0.419 0.331 0.177
O1 0.534 0.440 0.395
O2 0.987 0.429 0.445
O3 0.189 0.333 0.624
O4 0.612 0.789 0.728
O5 0.220 0.614 0.726
O6 0.616 0.216 0.226
O7 0.730 0.912 0.062
O8 0.386 0.780 0.274
O9 0.469 0.561 0.104
O10 0.017 0.573 0.054
O11 0.114 0.932 0.866
O12 0.667 0.811 0.376
O13 0.211 0.388 0.272
O14 0.334 0.189 0.124
O15 0.560 0.466 0.605
O16 0.389 0.213 0.770
O17 0.787 0.611 0.230
O18 0.439 0.531 0.896
O19 0.571 0.013 0.555
O20 0.935 0.113 0.367
O21 0.811 0.666 0.876
O22 0.273 0.089 0.435
O23 0.887 0.065 0.633
O24 0.427 0.983 0.946
O25 0.068 0.886 0.134
O26 0.784 0.384 0.774
O27 0.911 0.727 0.565
O28 0.088 0.270 0.938

Crystal system: monoclinic
Symmetry: C2

2.
VASP calculation (GGA+U) on LiFe2P2O8 after structural relaxation.

Cell: 5.189 10.341 13.738 Å, 90.00 90.00 90.00°
Fractional coordinates of all 52 atoms:
Li1 0.542 0.213 0.998
Li2 0.542 0.287 0.498
Li3 0.458 0.713 0.998
Li4 0.458 0.787 0.498
Fe1 0.919 0.034 0.498
Fe2 0.546 0.215 0.251
Fe3 0.546 0.285 0.751
Fe4 0.919 0.466 0.998
Fe5 0.081 0.534 0.498
Fe6 0.454 0.715 0.251
Fe7 0.454 0.785 0.751
Fe8 0.081 0.966 0.998
P1 0.436 0.036 0.624
P2 0.046 0.218 0.872
P3 0.046 0.282 0.372
P4 0.436 0.464 0.124
P5 0.564 0.536 0.624
P6 0.954 0.718 0.872
P7 0.954 0.782 0.372
P8 0.564 0.964 0.124
O1 0.146 0.010 0.602
O2 0.486 0.028 0.219
O3 0.416 0.027 0.035
O4 0.999 0.071 0.891
O5 0.496 0.183 0.622
O6 0.926 0.242 0.277
O7 0.907 0.212 0.461
O8 0.339 0.248 0.876
O9 0.339 0.252 0.376
O10 0.907 0.288 0.961
O11 0.926 0.258 0.777
O12 0.496 0.317 0.122
O13 0.999 0.429 0.391
O14 0.416 0.473 0.535
O15 0.486 0.472 0.719
O16 0.146 0.490 0.102
O17 0.854 0.510 0.602
O18 0.514 0.528 0.219
O19 0.584 0.527 0.035
O20 0.001 0.571 0.891
O21 0.504 0.683 0.622
O22 0.074 0.742 0.277
O23 0.093 0.712 0.461
O24 0.661 0.748 0.876
O25 0.661 0.752 0.376
O26 0.093 0.788 0.961
O27 0.074 0.758 0.777
O28 0.504 0.817 0.122
O29 0.001 0.929 0.391
O30 0.584 0.973 0.535
O31 0.514 0.972 0.719
O32 0.854 0.990 0.102

Crystal system: orthorhombic
Symmetry: Pca2_1

3.
VASP calculation (GGA+U) on LiFePO4 after structural relaxation.

Cell: 5.256 7.885 9.213 Å, 111.63 76.19 97.65°
Fractional coordinates of all 28 atoms:
Li1 0.285 0.014 0.370
Li2 0.285 0.014 0.870
Li3 0.715 0.986 0.630
Li4 0.715 0.986 0.130
Fe1 0.235 0.396 0.175
Fe2 0.765 0.604 0.325
Fe3 0.235 0.396 0.675
Fe4 0.765 0.604 0.825
P1 0.193 0.740 0.547
P2 0.193 0.739 0.047
P3 0.807 0.261 0.453
P4 0.807 0.260 0.953
O1 0.377 0.619 0.392
O2 0.377 0.619 0.892
O3 0.623 0.381 0.608
O4 0.623 0.381 0.108
O5 0.912 0.378 0.345
O6 0.912 0.377 0.845
O7 0.088 0.623 0.655
O8 0.088 0.622 0.155
O9 0.657 0.088 0.364
O10 0.657 0.087 0.864
O11 0.343 0.913 0.636
O12 0.343 0.912 0.136
O13 0.958 0.794 0.499
O14 0.958 0.794 0.999
O15 0.042 0.206 0.501
O16 0.042 0.206 0.001

4.
VASP calculation (GGA+U) on LiFeP2O7 after structural relaxation.

Cell: 9.672 9.756 11.115 Å, 89.92 78.68 89.88°
Fractional coordinates of all 88 atoms:
Li1 0.415 0.401 0.022
Li2 0.335 0.086 0.537
Li3 0.385 0.783 0.451
Li4 0.850 0.412 0.046
Li5 0.649 0.890 0.955
Li6 0.920 0.100 0.026
Li7 0.841 0.420 0.531
Li8 0.884 0.717 0.454
Fe1 0.205 0.084 0.323
Fe2 0.247 0.792 0.168
Fe3 0.245 0.280 0.827
Fe4 0.292 0.573 0.673
Fe5 0.702 0.417 0.327
Fe6 0.749 0.711 0.171
Fe7 0.744 0.221 0.826
Fe8 0.793 0.928 0.669
P1 0.021 0.551 0.251
P2 0.115 0.292 0.115
P3 0.066 0.083 0.760
P4 0.123 0.854 0.582
P5 0.375 0.359 0.425
P6 0.434 0.579 0.235
P7 0.522 0.949 0.249
P8 0.386 0.786 0.882
P9 0.611 0.210 0.116
P10 0.475 0.052 0.752
P11 0.566 0.417 0.760
P12 0.622 0.646 0.581
P13 0.877 0.141 0.425
P14 0.932 0.921 0.237
P15 0.896 0.716 0.883
P16 0.975 0.448 0.756
O1 0.009 0.574 0.385
O2 0.034 0.148 0.428
O3 0.087 0.915 0.262
O4 0.106 0.411 0.217
O5 0.101 0.657 0.163
O6 0.176 0.171 0.175
O7 0.221 0.341 0.999
O8 0.039 0.743 0.903
O9 0.116 0.934 0.710
O10 0.078 0.100 0.893
O11 0.130 0.457 0.780
O12 0.189 0.715 0.598
O13 0.173 0.185 0.688
O14 0.219 0.937 0.482
O15 0.292 0.436 0.534
O16 0.344 0.701 0.296
O17 0.319 0.215 0.404
O18 0.368 0.967 0.223
O19 0.366 0.443 0.302
O20 0.423 0.570 0.103
O21 0.469 0.242 0.096
O22 0.282 0.833 0.001
O23 0.326 0.669 0.816
O24 0.391 0.912 0.785
O25 0.411 0.410 0.739
O26 0.398 0.158 0.844
O27 0.470 0.658 0.563
O28 0.525 0.912 0.379
O29 0.478 0.080 0.620
O30 0.534 0.349 0.427
O31 0.606 0.852 0.149
O32 0.589 0.586 0.261
O33 0.602 0.094 0.221
O34 0.689 0.328 0.169
O35 0.716 0.152 0.999
O36 0.531 0.766 0.905
O37 0.582 0.403 0.892
O38 0.620 0.565 0.708
O39 0.629 0.036 0.783
O40 0.691 0.783 0.597
O41 0.671 0.311 0.689
O42 0.717 0.563 0.479
O43 0.792 0.065 0.535
O44 0.843 0.798 0.299
O45 0.820 0.285 0.404
O46 0.869 0.530 0.215
O47 0.915 0.928 0.106
O48 0.864 0.058 0.302
O49 0.970 0.270 0.090
O50 0.792 0.659 0.002
O51 0.816 0.833 0.828
O52 0.889 0.353 0.858
O53 0.899 0.594 0.781
O54 0.909 0.094 0.740
O55 0.969 0.842 0.565
O56 0.967 0.408 0.629

Crystal system: triclinic
Symmetry: P1

5.
VASP calculation (GGA+U) on LiFePO4 after structural relaxation.

Cell: 8.644 8.644 8.644 Å, 107.65 107.65 107.65°
Fractional coordinates of all 42 atoms:
Li1 0.892 0.124 0.721
Li2 0.424 0.210 0.609
Li3 0.609 0.424 0.210
Li4 0.124 0.721 0.892
Li5 0.210 0.609 0.424
Li6 0.721 0.892 0.124
Fe1 0.457 0.052 0.230
Fe2 0.768 0.537 0.943
Fe3 0.052 0.230 0.457
Fe4 0.943 0.768 0.537
Fe5 0.230 0.457 0.052
Fe6 0.537 0.943 0.768
P1 0.281 0.097 0.876
P2 0.790 0.385 0.573
P3 0.876 0.281 0.097
P4 0.385 0.573 0.790
P5 0.573 0.790 0.385
P6 0.097 0.876 0.281
O1 0.968 0.295 0.969
O2 0.399 0.095 0.771
O3 0.081 0.027 0.741
O4 0.904 0.278 0.592
O5 0.289 0.025 0.352
O6 0.741 0.081 0.027
O7 0.681 0.362 0.685
O8 0.655 0.309 0.373
O9 0.309 0.373 0.655
O10 0.916 0.589 0.647
O11 0.771 0.399 0.095
O12 0.352 0.289 0.025
O13 0.589 0.647 0.916
O14 0.278 0.592 0.904
O15 0.025 0.352 0.289
O16 0.362 0.685 0.681
O17 0.685 0.681 0.362
O18 0.373 0.655 0.309
O19 0.647 0.916 0.589
O20 0.969 0.968 0.295
O21 0.295 0.969 0.968
O22 0.095 0.771 0.399
O23 0.592 0.904 0.278
O24 0.027 0.741 0.081

Crystal system: trigonal
Symmetry: R3

6.
VASP calculation (GGA+U) on LiFeP3O9 after structural relaxation.

Cell: 5.209 12.083 12.532 Å, 90.00 90.00 90.00°
Fractional coordinates of all 56 atoms:
Li1 0.051 0.098 0.250
Li2 0.051 0.402 0.750
Li3 0.949 0.598 0.250
Li4 0.949 0.902 0.750
Fe1 0.000 0.000 0.000
Fe2 0.000 0.500 0.000
Fe3 0.000 0.000 0.500
Fe4 0.000 0.500 0.500
P1 0.227 0.750 0.000
P2 0.227 0.750 0.500
P3 0.497 0.076 0.634
P4 0.497 0.424 0.134
P5 0.497 0.076 0.866
P6 0.497 0.424 0.366
P7 0.503 0.576 0.634
P8 0.503 0.924 0.134
P9 0.503 0.924 0.366
P10 0.503 0.576 0.866
P11 0.773 0.250 0.000
P12 0.773 0.250 0.500
O1 0.084 0.671 0.071
O2 0.084 0.671 0.429
O3 0.084 0.829 0.571
O4 0.084 0.829 0.929
O5 0.214 0.446 0.126
O6 0.214 0.054 0.626
O7 0.214 0.446 0.374
O8 0.214 0.054 0.874
O9 0.316 0.017 0.387
O10 0.316 0.017 0.113
O11 0.316 0.483 0.887
O12 0.316 0.483 0.613
O13 0.446 0.873 0.250
O14 0.446 0.627 0.750
O15 0.440 0.684 0.568
O16 0.440 0.816 0.068
O17 0.440 0.684 0.932
O18 0.440 0.816 0.432
O19 0.560 0.184 0.568
O20 0.560 0.316 0.068
O21 0.560 0.316 0.432
O22 0.560 0.184 0.932
O23 0.554 0.127 0.750
O24 0.554 0.373 0.250
O25 0.684 0.517 0.387
O26 0.684 0.983 0.613
O27 0.684 0.517 0.113
O28 0.684 0.983 0.887
O29 0.786 0.554 0.874
O30 0.786 0.554 0.626
O31 0.786 0.946 0.374
O32 0.786 0.946 0.126
O33 0.916 0.171 0.429
O34 0.916 0.329 0.571
O35 0.916 0.171 0.071
O36 0.916 0.329 0.929

Crystal system: orthorhombic
Symmetry: Pbcm

7.
VASP calculation (GGA+U) on Li2FeP2O7 after structural relaxation.

Cell: 5.700 7.853 7.954 Å, 63.49 90.00 68.71°
Fractional coordinates of all 24 atoms:
Li1 0.050 0.550 0.809
Li2 0.950 0.450 0.191
Li3 0.400 0.550 0.309
Li4 0.600 0.450 0.691
Fe1 0.000 0.000 0.000
Fe2 0.000 0.000 0.500
P1 0.755 0.774 0.360
P2 0.245 0.226 0.640
P3 0.470 0.775 0.860
P4 0.530 0.225 0.140
O1 0.888 0.775 0.529
O2 0.510 0.000 0.250
O3 0.305 0.762 0.715
O4 0.743 0.613 0.925
O5 0.663 0.225 0.971
O6 0.933 0.762 0.215
O7 0.695 0.238 0.285
O8 0.337 0.775 0.029
O9 0.490 0.000 0.750
O10 0.356 0.387 0.575
O11 0.067 0.238 0.785
O12 0.112 0.225 0.471
O13 0.257 0.387 0.075
O14 0.644 0.613 0.425

Crystal system: monoclinic
Symmetry: C2/c

8.
VASP calculation (GGA+U) on LiFePO4 after structural relaxation.

Cell: 10.930 5.776 9.941 Å, 88.66 90.00 90.00°
Fractional coordinates of all 56 atoms:
Li1 0.855 0.880 0.887
Li2 0.645 0.880 0.387
Li3 0.341 0.611 0.641
Li4 0.159 0.611 0.141
Li5 0.841 0.389 0.859
Li6 0.659 0.389 0.359
Li7 0.355 0.120 0.613
Li8 0.145 0.120 0.113
Fe1 0.096 0.881 0.731
Fe2 0.404 0.881 0.231
Fe3 0.625 0.658 0.986
Fe4 0.875 0.658 0.486
Fe5 0.125 0.342 0.514
Fe6 0.375 0.342 0.014
Fe7 0.596 0.119 0.769
Fe8 0.904 0.119 0.269
P1 0.355 0.869 0.909
P2 0.145 0.869 0.409
P3 0.606 0.625 0.659
P4 0.894 0.625 0.159
P5 0.106 0.375 0.841
P6 0.394 0.375 0.341
P7 0.855 0.131 0.591
P8 0.645 0.131 0.091
O1 0.212 0.913 0.544
O2 0.931 0.906 0.624
O3 0.288 0.913 0.044
O4 0.569 0.906 0.124
O5 0.271 0.825 0.790
O6 0.523 0.845 0.650
O7 0.229 0.825 0.290
O8 0.977 0.845 0.150
O9 0.440 0.656 0.928
O10 0.690 0.637 0.787
O11 0.060 0.656 0.428
O12 0.686 0.616 0.529
O13 0.023 0.593 0.831
O14 0.810 0.637 0.287
O15 0.814 0.616 0.029
O16 0.477 0.593 0.331
O17 0.523 0.407 0.669
O18 0.186 0.384 0.971
O19 0.190 0.363 0.713
O20 0.977 0.407 0.169
O21 0.314 0.384 0.471
O22 0.940 0.344 0.572
O23 0.310 0.363 0.213
O24 0.560 0.344 0.072
O25 0.023 0.155 0.850
O26 0.771 0.175 0.710
O27 0.477 0.155 0.350
O28 0.729 0.175 0.210
O29 0.431 0.094 0.876
O30 0.712 0.087 0.956
O31 0.069 0.094 0.376
O32 0.788 0.087 0.456

Crystal system: monoclinic
Symmetry: P2_1/c

Size of the total moment for the records above, in order: 0.4546; 0.6923; 0.0000; 0.4545; 0.5714; 0.2857; 0.3333; 0.5715 μB per atom
E (MP2020) for the records above, in order: -7.581; -7.707; -7.518; -7.516; -7.553; -7.570; -7.352; -7.496 eV/atom
ΔE_f for the records above, in order: -2505; -2379; -2435; -2440; -2470; -2488; -2540; -2412 meV per atom